A plane-wave DFT calculation with PBE was carried out for a geometry-optimized Li3BS3 structure.

Space-group type: Pnma
ΔH_f (0 K) (kJ per mole of atoms): -120.9
Final energy (Ry per atom): -0.337

Unit cell a=6.2024 b=8.1892 c=10.1519 alpha=90.00 beta=90.00 gamma=90.00
Closest atoms and distances in Å follow each position.
Fractional positions:
Li (0.6062, 0.6685, 0.9907)  4 S 2.46-2.52
Li (0.1062, 0.8315, 0.0093)  4 S 2.46-2.52
Li (0.8938, 0.1685, 0.5093)  4 S 2.46-2.52
Li (0.3938, 0.3315, 0.4907)  4 S 2.46-2.52
Li (0.3938, 0.3315, 0.0093)  4 S 2.46-2.52
Li (0.8938, 0.1685, 0.9907)  4 S 2.46-2.52
Li (0.1062, 0.8315, 0.4907)  4 S 2.46-2.52
Li (0.6062, 0.6685, 0.5093)  4 S 2.46-2.52
Li (0.5469, 0.9953, 0.7500)  4 S 2.49-2.50
Li (0.0469, 0.5047, 0.2500)  4 S 2.49-2.50
Li (0.9531, 0.4953, 0.7500)  4 S 2.49-2.50
Li (0.4531, 0.0047, 0.2500)  4 S 2.49-2.50
B (0.8832, 0.8796, 0.2500)  3 S 1.83
B (0.3832, 0.6204, 0.7500)  3 S 1.83
B (0.6168, 0.3796, 0.2500)  3 S 1.83
B (0.1168, 0.1204, 0.7500)  3 S 1.83
S (0.7430, 0.9200, 0.0943)  1 B 1.83
S (0.2430, 0.5800, 0.9057)  1 B 1.83
S (0.7570, 0.4200, 0.4057)  1 B 1.83
S (0.2570, 0.0800, 0.5943)  1 B 1.83
S (0.2570, 0.0800, 0.9057)  1 B 1.83
S (0.7570, 0.4200, 0.0943)  1 B 1.83
S (0.2430, 0.5800, 0.5943)  1 B 1.83
S (0.7430, 0.9200, 0.4057)  1 B 1.83
S (0.8416, 0.2025, 0.7500)  1 B 1.83
S (0.3416, 0.2975, 0.2500)  1 B 1.83
S (0.6584, 0.7025, 0.7500)  1 B 1.83
S (0.1584, 0.7975, 0.2500)  1 B 1.83